# 1
The following is a PBE calculation of Eu3InP3 after structural relaxation, from Materials Project.

a = 4.281 Å, b = 12.633 Å, c = 13.460 Å
α = 90.00°, β = 90.00°, γ = 90.00°
Sites, in units of the cell vectors:
1 In 0.250 0.050 0.300
2 In 0.750 0.950 0.700
3 In 0.750 0.450 0.800
4 In 0.250 0.550 0.200
5 Eu 0.750 0.643 0.004
6 Eu 0.750 0.143 0.496
7 Eu 0.750 0.926 0.106
8 Eu 0.250 0.074 0.894
9 Eu 0.250 0.774 0.795
10 Eu 0.750 0.226 0.205
11 Eu 0.750 0.426 0.394
12 Eu 0.250 0.274 0.705
13 Eu 0.250 0.357 0.996
14 Eu 0.250 0.574 0.606
15 Eu 0.750 0.726 0.295
16 Eu 0.250 0.857 0.504
17 P 0.250 0.550 0.859
18 P 0.250 0.596 0.389
19 P 0.750 0.404 0.611
20 P 0.250 0.096 0.111
21 P 0.250 0.050 0.641
22 P 0.750 0.904 0.889
23 P 0.750 0.450 0.141
24 P 0.250 0.746 0.128
25 P 0.750 0.254 0.872
26 P 0.750 0.950 0.359
27 P 0.250 0.246 0.372
28 P 0.750 0.754 0.628

total DFT energy (no corrections): -8.094 eV/atom

# 2
The following is a PBE calculation of ZrCu after structural relaxation, from Materials Project.

a = 4.138 Å, b = 3.242 Å, c = 5.510 Å
α = 74.09°, β = 90.00°, γ = 90.00°
Sites, in units of the cell vectors:
1 Cu 0.250 0.059 0.362
2 Cu 0.750 0.941 0.638
3 Zr 0.750 0.647 0.194
4 Zr 0.250 0.353 0.806

total DFT energy (no corrections): -6.449 eV/atom

# 3
The following is a PBE calculation of Te7RhCl7 after structural relaxation, from Materials Project.

a = 9.555 Å, b = 10.410 Å, c = 11.758 Å
α = 68.82°, β = 66.66°, γ = 66.83°
Sites, in units of the cell vectors:
1 Cl 0.980 0.843 0.467
2 Cl 0.681 0.325 0.715
3 Cl 0.792 0.534 0.795
4 Cl 0.197 0.503 0.691
5 Cl 0.650 0.743 0.492
6 Cl 0.319 0.675 0.285
7 Cl 0.803 0.497 0.309
8 Cl 0.527 0.968 0.732
9 Cl 0.020 0.157 0.533
10 Cl 0.473 0.032 0.268
11 Cl 0.208 0.466 0.205
12 Cl 0.324 0.258 0.961
13 Cl 0.676 0.742 0.039
14 Cl 0.350 0.257 0.508
15 Te 0.057 0.658 0.338
16 Te 0.042 0.662 0.015
17 Te 0.343 0.714 0.881
18 Te 0.931 0.850 0.804
19 Te 0.206 0.949 0.703
20 Te 0.809 0.055 0.970
21 Te 0.794 0.051 0.297
22 Te 0.069 0.150 0.196
23 Te 0.339 0.235 0.728
24 Te 0.943 0.342 0.662
25 Te 0.657 0.286 0.119
26 Te 0.191 0.945 0.030
27 Te 0.958 0.338 0.985
28 Te 0.661 0.765 0.272
29 Rh 0.928 0.852 0.158
30 Rh 0.072 0.148 0.842

MP2020-corrected energy: -3.567 eV/atom

# 4
The following is a PBE calculation of Sr3Li2 after structural relaxation, from Materials Project.

a = 9.717 Å, b = 9.717 Å, c = 8.734 Å
α = 90.00°, β = 90.00°, γ = 90.00°
Sites, in units of the cell vectors:
1 Sr 0.850 0.150 0.000
2 Sr 0.150 0.850 0.000
3 Sr 0.712 0.712 0.000
4 Sr 0.212 0.788 0.500
5 Sr 0.000 0.500 0.250
6 Sr 0.350 0.350 0.500
7 Sr 0.500 0.000 0.250
8 Sr 0.288 0.288 0.000
9 Sr 0.500 0.000 0.750
10 Sr 0.788 0.212 0.500
11 Sr 0.000 0.500 0.750
12 Sr 0.650 0.650 0.500
13 Li 0.613 0.387 0.182
14 Li 0.387 0.613 0.818
15 Li 0.887 0.887 0.682
16 Li 0.113 0.113 0.682
17 Li 0.387 0.613 0.182
18 Li 0.113 0.113 0.318
19 Li 0.887 0.887 0.318
20 Li 0.613 0.387 0.818

total DFT energy (no corrections): -1.775 eV/atom

# 5
The following is a PBE calculation of EuMnIn after structural relaxation, from Materials Project.

a = 4.967 Å, b = 4.967 Å, c = 3.704 Å
α = 90.00°, β = 90.00°, γ = 120.00°
Sites, in units of the cell vectors:
1 Eu 0.333 0.667 0.000
2 In 0.667 0.333 0.500
3 Mn 0.000 0.000 0.500

total DFT energy (no corrections): -7.346 eV/atom

# 6
The following is a PBE calculation of Sb10Pb10S24Cl3 after structural relaxation, from Materials Project.

a = 3.961 Å, b = 15.446 Å, c = 19.719 Å
α = 84.80°, β = 90.00°, γ = 90.00°
Sites, in units of the cell vectors:
1 S 0.500 0.787 0.306
2 S 0.000 0.777 0.641
3 S 0.500 0.417 0.265
4 S 0.500 0.691 0.905
5 S 0.000 0.235 0.960
6 S 0.500 0.213 0.694
7 S 0.500 0.562 0.082
8 S 0.500 0.067 0.862
9 S 0.000 0.879 0.834
10 S 0.000 0.223 0.359
11 S 0.500 0.876 0.497
12 S 0.500 0.583 0.735
13 S 0.500 0.438 0.918
14 S 0.500 0.124 0.503
15 S 0.500 0.034 0.324
16 S 0.000 0.681 0.441
17 S 0.000 0.613 0.236
18 S 0.500 0.309 0.095
19 S 0.000 0.765 0.040
20 S 0.500 0.966 0.676
21 S 0.000 0.387 0.764
22 S 0.000 0.319 0.559
23 S 0.000 0.121 0.166
24 S 0.500 0.933 0.138
25 Pb 0.500 0.283 0.855
26 Pb 0.500 0.873 0.947
27 Pb 0.500 0.307 0.449
28 Pb 0.500 0.794 0.748
29 Pb 0.500 0.693 0.551
30 Pb 0.500 0.127 0.053
31 Pb 0.500 0.587 0.347
32 Pb 0.500 0.206 0.252
33 Pb 0.500 0.717 0.145
34 Pb 0.500 0.413 0.653
35 Cl 0.000 0.460 0.413
36 Cl 0.000 0.000 0.000
37 Cl 0.000 0.540 0.587
38 Sb 0.000 0.827 0.383
39 Sb 0.000 0.530 0.813
40 Sb 0.000 0.470 0.187
41 Sb 0.000 0.967 0.215
42 Sb 0.000 0.927 0.585
43 Sb 0.000 0.627 0.986
44 Sb 0.000 0.033 0.785
45 Sb 0.000 0.073 0.415
46 Sb 0.000 0.173 0.617
47 Sb 0.000 0.373 0.014

MP2020-corrected energy: -4.607 eV/atom

Copy entry 1 word for word.
The following is a PBE calculation of Eu3InP3 after structural relaxation, from Materials Project.

a = 4.281 Å, b = 12.633 Å, c = 13.460 Å
α = 90.00°, β = 90.00°, γ = 90.00°
Sites, in units of the cell vectors:
1 In 0.250 0.050 0.300
2 In 0.750 0.950 0.700
3 In 0.750 0.450 0.800
4 In 0.250 0.550 0.200
5 Eu 0.750 0.643 0.004
6 Eu 0.750 0.143 0.496
7 Eu 0.750 0.926 0.106
8 Eu 0.250 0.074 0.894
9 Eu 0.250 0.774 0.795
10 Eu 0.750 0.226 0.205
11 Eu 0.750 0.426 0.394
12 Eu 0.250 0.274 0.705
13 Eu 0.250 0.357 0.996
14 Eu 0.250 0.574 0.606
15 Eu 0.750 0.726 0.295
16 Eu 0.250 0.857 0.504
17 P 0.250 0.550 0.859
18 P 0.250 0.596 0.389
19 P 0.750 0.404 0.611
20 P 0.250 0.096 0.111
21 P 0.250 0.050 0.641
22 P 0.750 0.904 0.889
23 P 0.750 0.450 0.141
24 P 0.250 0.746 0.128
25 P 0.750 0.254 0.872
26 P 0.750 0.950 0.359
27 P 0.250 0.246 0.372
28 P 0.750 0.754 0.628

total DFT energy (no corrections): -8.094 eV/atom

> Which formula does entry 2 have?

ZrCu